No. 1
NaAlZnS3O12, relaxed, DFT PBE; corrected total energy (MP2020 scheme) = -6.47 eV/atom; VASP energy = -0.442 Ry/atom; calculated volume = 12.75 Å³ per atom; E_form = -2.13 eV per atom
1.0
-0.729 6.312 5.606
-6.910 -3.140 -3.767
-2.200 -14.777 16.353
O S Al Zn Na
72 18 6 6 6
Direct
0.348 0.487 0.077
0.842 0.811 0.590
0.513 0.652 0.577
0.523 0.698 0.257
0.702 0.542 0.529
0.509 0.365 0.423
0.189 0.158 0.090
0.509 0.144 0.923
0.640 0.520 0.638
0.547 0.853 0.472
0.302 0.477 0.757
0.702 0.160 0.029
0.791 0.964 0.695
0.124 0.494 0.862
0.846 0.318 0.243
0.369 0.876 0.862
0.547 0.693 0.972
0.682 0.528 0.243
0.523 0.824 0.757
0.842 0.032 0.090
0.015 0.820 0.410
0.968 0.811 0.090
0.015 0.195 0.910
0.973 0.187 0.305
0.506 0.631 0.862
0.176 0.477 0.257
0.856 0.491 0.423
0.307 0.453 0.472
0.856 0.365 0.923
0.805 0.985 0.410
0.173 0.209 0.695
0.213 0.027 0.305
0.307 0.853 0.972
0.791 0.827 0.195
0.880 0.520 0.138
0.180 0.985 0.910
0.369 0.494 0.362
0.176 0.698 0.757
0.813 0.787 0.305
0.348 0.861 0.577
0.968 0.158 0.590
0.036 0.209 0.195
0.302 0.824 0.257
0.682 0.154 0.743
0.840 0.298 0.529
0.805 0.820 0.910
0.635 0.144 0.423
0.124 0.631 0.362
0.880 0.360 0.638
0.472 0.154 0.243
0.813 0.027 0.805
0.480 0.360 0.138
0.973 0.787 0.805
0.480 0.120 0.638
0.472 0.318 0.743
0.189 0.032 0.590
0.173 0.964 0.195
0.147 0.693 0.472
0.458 0.298 0.029
0.213 0.187 0.805
0.506 0.876 0.362
0.840 0.542 0.029
0.846 0.528 0.743
0.139 0.487 0.577
0.147 0.453 0.972
0.640 0.120 0.138
0.036 0.827 0.695
0.458 0.160 0.529
0.139 0.652 0.077
0.513 0.861 0.077
0.635 0.491 0.923
0.180 0.195 0.410
0.039 0.661 0.417
0.706 0.711 0.250
0.672 0.628 0.584
0.706 0.995 0.750
0.372 0.328 0.084
0.005 0.711 0.750
0.622 0.961 0.417
0.622 0.661 0.917
0.956 0.328 0.584
0.672 0.044 0.084
0.005 0.294 0.250
0.956 0.628 0.084
0.339 0.961 0.917
0.039 0.378 0.917
0.289 0.995 0.250
0.372 0.044 0.584
0.339 0.378 0.417
0.289 0.294 0.750
0.000 0.000 0.149
0.333 0.667 0.315
0.667 0.333 0.982
0.000 0.000 0.649
0.333 0.667 0.815
0.667 0.333 0.482
0.000 0.000 0.351
0.667 0.333 0.184
0.333 0.667 0.018
0.333 0.667 0.518
0.667 0.333 0.684
0.000 0.000 0.851
0.000 0.000 0.498
0.667 0.333 0.332
0.333 0.667 0.165
0.667 0.333 0.832
0.000 0.000 0.998
0.333 0.667 0.665

No. 2
HfMg14Ga, relaxed, DFT PBE; VASP energy = -0.162 Ry/atom; calculated volume = 22.01 Å³ per atom; energy above the lowest structure with this stoichiometry = 0.0000 eV per atom; E_form = 0.01 eV per atom
1.0
10.233 0.000 0.000
0.000 3.103 5.546
0.000 -3.103 5.546
Hf Mg Ga
1 14 1
Direct
0.000 0.000 0.000
0.000 0.001 0.496
0.000 0.496 0.001
0.246 0.663 0.663
0.247 0.164 0.666
0.247 0.666 0.164
0.250 0.162 0.162
0.500 0.498 0.498
0.500 0.499 0.997
0.500 0.997 0.499
0.500 0.997 0.997
0.750 0.162 0.162
0.753 0.164 0.666
0.753 0.666 0.164
0.754 0.663 0.663
0.000 0.496 0.496

No. 3
Tb3Fe2Si3, relaxed, DFT PBE; corrected total energy (MP2020 scheme) = -6.51 eV/atom; VASP energy = -0.480 Ry/atom; calculated volume = 18.56 Å³ per atom; E_form = -0.62 eV per atom
1.0
2.044 -5.319 0.000
2.044 5.319 0.000
0.000 0.000 13.660
Tb Fe Si
6 4 6
Direct
0.079 0.921 0.613
0.079 0.921 0.887
0.363 0.637 0.750
0.637 0.363 0.250
0.921 0.079 0.113
0.921 0.079 0.387
0.215 0.785 0.080
0.215 0.785 0.420
0.785 0.215 0.580
0.785 0.215 0.920
0.326 0.674 0.250
0.374 0.626 0.539
0.374 0.626 0.961
0.626 0.374 0.039
0.626 0.374 0.461
0.674 0.326 0.750

No. 4
Tc3Sn, relaxed, DFT PBE; VASP energy = -0.628 Ry/atom; calculated volume = 15.96 Å³ per atom; energy above the lowest structure with this stoichiometry = 0.0224 eV per atom; E_form = 0.22 eV per atom
1.0
0.000 3.172 3.172
3.172 0.000 3.172
3.172 3.172 0.000
Tc Sn
3 1
Direct
0.000 0.000 0.000
0.250 0.250 0.250
0.750 0.750 0.750
0.500 0.500 0.500

No. 5
GaBiN2, relaxed, DFT PBE; corrected total energy (MP2020 scheme) = -5.89 eV/atom; VASP energy = -0.420 Ry/atom; calculated volume = 17.71 Å³ per atom; energy above the lowest structure with this stoichiometry = 0.0000 eV per atom; E_form = 0.00 eV per atom
1.0
7.669 0.000 0.000
0.000 6.535 0.000
-1.376 0.000 5.652
Ga Bi N
4 4 8
Direct
0.125 0.139 0.137
0.125 0.361 0.637
0.875 0.639 0.363
0.875 0.861 0.863
0.305 0.615 0.188
0.305 0.885 0.688
0.695 0.115 0.312
0.695 0.385 0.812
0.146 0.625 0.468
0.146 0.875 0.968
0.212 0.146 0.471
0.212 0.354 0.971
0.788 0.646 0.029
0.788 0.854 0.529
0.854 0.125 0.032
0.854 0.375 0.532

No. 6
Cu3Ag3P2S8, relaxed, DFT PBE; corrected total energy (MP2020 scheme) = -4.51 eV/atom; VASP energy = -0.313 Ry/atom; calculated volume = 19.63 Å³ per atom; E_form = -0.47 eV per atom
1.0
6.295 0.000 0.000
0.010 6.447 0.000
0.020 0.038 7.739
Cu Ag P S
3 3 2 8
Direct
0.000 0.000 0.000
0.004 0.992 0.498
0.507 0.644 0.500
0.504 0.159 0.251
0.507 0.637 0.996
0.996 0.468 0.745
0.494 0.131 0.743
0.998 0.499 0.254
0.325 0.513 0.268
0.364 0.003 0.966
0.370 0.972 0.529
0.400 0.439 0.729
0.828 0.103 0.748
0.868 0.657 0.468
0.902 0.654 0.030
0.905 0.185 0.250

No. 7
Pd3S, relaxed, DFT PBE; corrected total energy (MP2020 scheme) = -4.93 eV/atom; VASP energy = -0.353 Ry/atom; calculated volume = 15.33 Å³ per atom; E_form = -0.01 eV per atom
1.0
0.000 3.130 3.130
3.130 0.000 3.130
3.130 3.130 0.000
Pd S
3 1
Direct
0.000 0.000 0.000
0.250 0.250 0.250
0.750 0.750 0.750
0.500 0.500 0.500

No. 8
SmIn2Rh, relaxed, DFT PBE; VASP energy = -0.368 Ry/atom; calculated volume = 22.77 Å³ per atom; E_form = -0.61 eV per atom
1.0
2.221 -5.127 0.000
2.221 5.127 0.000
0.000 0.000 7.997
Sm In Rh
2 4 2
Direct
0.067 0.933 0.750
0.933 0.067 0.250
0.355 0.645 0.551
0.355 0.645 0.949
0.645 0.355 0.051
0.645 0.355 0.449
0.215 0.785 0.250
0.785 0.215 0.750